(1)
The following is a DFT calculation (PBE) of LaZrPS2O12 after structural relaxation.

Cell lengths 9.359, 9.359, 23.318 Å; angles 90.02, 90.02, 59.95 degrees
Fractional coordinates of all 102 atoms:
La (0.002, 0.998, 0.500)
La (0.323, 0.327, 0.334)
La (0.327, 0.323, 0.834)
La (0.659, 0.677, 0.667)
La (0.677, 0.659, 0.167)
La (0.998, 0.002, 0.000)
Zr (0.316, 0.345, 0.054)
Zr (0.345, 0.316, 0.554)
Zr (0.662, 0.666, 0.886)
Zr (0.666, 0.662, 0.386)
Zr (0.999, 0.999, 0.220)
Zr (0.999, 0.999, 0.720)
P (0.028, 0.709, 0.116)
P (0.030, 0.367, 0.949)
P (0.367, 0.030, 0.449)
P (0.367, 0.928, 0.783)
P (0.709, 0.028, 0.616)
P (0.928, 0.367, 0.283)
S (0.032, 0.267, 0.617)
S (0.033, 0.599, 0.450)
S (0.266, 0.694, 0.616)
S (0.267, 0.032, 0.117)
S (0.366, 0.598, 0.949)
S (0.366, 0.697, 0.283)
S (0.598, 0.366, 0.449)
S (0.599, 0.033, 0.950)
S (0.694, 0.266, 0.116)
S (0.697, 0.366, 0.783)
S (0.699, 0.933, 0.283)
S (0.933, 0.699, 0.783)
O (0.000, 0.812, 0.062)
O (0.051, 0.799, 0.169)
O (0.056, 0.157, 0.668)
O (0.103, 0.331, 0.294)
O (0.104, 0.569, 0.793)
O (0.119, 0.492, 0.501)
O (0.121, 0.392, 0.002)
O (0.132, 0.534, 0.398)
O (0.141, 0.331, 0.897)
O (0.157, 0.056, 0.168)
O (0.160, 0.783, 0.667)
O (0.189, 0.271, 0.609)
O (0.192, 0.537, 0.107)
O (0.198, 0.934, 0.773)
O (0.200, 0.797, 0.565)
O (0.201, 0.998, 0.066)
O (0.204, 0.855, 0.275)
O (0.228, 0.995, 0.462)
O (0.232, 0.768, 0.958)
O (0.266, 0.535, 0.607)
O (0.271, 0.189, 0.109)
O (0.331, 0.103, 0.794)
O (0.331, 0.141, 0.397)
O (0.334, 0.562, 0.293)
O (0.337, 0.528, 0.897)
O (0.386, 0.492, 0.001)
O (0.392, 0.121, 0.502)
O (0.436, 0.655, 0.626)
O (0.436, 0.898, 0.128)
O (0.452, 0.720, 0.334)
O (0.459, 0.814, 0.836)
O (0.465, 0.667, 0.231)
O (0.473, 0.854, 0.730)
O (0.492, 0.119, 0.001)
O (0.492, 0.386, 0.501)
O (0.524, 0.601, 0.943)
O (0.528, 0.337, 0.397)
O (0.530, 0.863, 0.438)
O (0.534, 0.132, 0.898)
O (0.535, 0.266, 0.107)
O (0.537, 0.192, 0.607)
O (0.562, 0.334, 0.793)
O (0.569, 0.104, 0.293)
O (0.601, 0.524, 0.443)
O (0.602, 0.872, 0.941)
O (0.655, 0.436, 0.126)
O (0.660, 0.870, 0.232)
O (0.667, 0.465, 0.731)
O (0.673, 0.888, 0.626)
O (0.720, 0.452, 0.834)
O (0.720, 0.825, 0.334)
O (0.768, 0.232, 0.458)
O (0.770, 0.994, 0.959)
O (0.783, 0.160, 0.167)
O (0.797, 0.200, 0.065)
O (0.799, 0.051, 0.669)
O (0.812, 0.000, 0.562)
O (0.814, 0.459, 0.336)
O (0.825, 0.720, 0.834)
O (0.854, 0.473, 0.230)
O (0.855, 0.204, 0.775)
O (0.858, 0.932, 0.275)
O (0.863, 0.530, 0.938)
O (0.870, 0.660, 0.732)
O (0.872, 0.602, 0.441)
O (0.888, 0.673, 0.126)
O (0.898, 0.436, 0.628)
O (0.932, 0.858, 0.775)
O (0.934, 0.198, 0.273)
O (0.994, 0.770, 0.459)
O (0.995, 0.228, 0.962)
O (0.998, 0.201, 0.566)

Calculated values
Total energy, eV per atom: -7.387
Formation energy, eV per atom: -2.78
Space-group type: No. 9

=====

(2)
The following is a DFT calculation (PBE) of Ce3Pt2 after structural relaxation.

Cell lengths 7.583, 7.583, 7.583 Å; angles 72.40, 72.40, 72.40 degrees
Fractional coordinates of all 15 atoms:
Ce (0.000, 0.000, 0.000)
Ce (0.167, 0.389, 0.661)
Ce (0.207, 0.207, 0.207)
Ce (0.339, 0.833, 0.611)
Ce (0.389, 0.661, 0.167)
Ce (0.611, 0.339, 0.833)
Ce (0.661, 0.167, 0.389)
Ce (0.793, 0.793, 0.793)
Ce (0.833, 0.611, 0.339)
Pt (0.045, 0.841, 0.406)
Pt (0.159, 0.594, 0.955)
Pt (0.406, 0.045, 0.841)
Pt (0.594, 0.955, 0.159)
Pt (0.841, 0.406, 0.045)
Pt (0.955, 0.159, 0.594)

Calculated values
Total energy, eV per atom: -6.825
Formation energy, eV per atom: -0.84
Space-group type: No. 148

=====

(3)
The following is a DFT calculation (PBE) of Ti4Al11Ni after structural relaxation.

Cell lengths 3.901, 3.901, 16.351 Å; angles 90.00, 90.00, 90.00 degrees
Fractional coordinates of all 16 atoms:
Ti (0.000, 0.000, 0.000)
Ti (0.000, 0.000, 0.233)
Ti (0.500, 0.500, 0.494)
Ti (0.500, 0.500, 0.732)
Al (0.000, 0.000, 0.480)
Al (0.000, 0.000, 0.738)
Al (0.000, 0.500, 0.122)
Al (0.000, 0.500, 0.353)
Al (0.000, 0.500, 0.611)
Al (0.000, 0.500, 0.866)
Al (0.500, 0.000, 0.122)
Al (0.500, 0.000, 0.353)
Al (0.500, 0.000, 0.611)
Al (0.500, 0.000, 0.866)
Al (0.500, 0.500, 0.992)
Ni (0.500, 0.500, 0.235)

Calculated values
Total energy, eV per atom: -5.305
Formation energy, eV per atom: -0.40
Space-group type: No. 99